The following is a PBE+U calculation of a relaxed Al2CoO4 crystal, from the Materials Project database.

E_tot ... -7.0972 eV per atom
Energy above the most stable polymorph in this dataset ... 0.078 eV/atom

POSCAR file:
```
Al2CoO4
1.0
2.8893 1.6682 18.9255
-2.8893 1.6682 18.9255
0.0000 -3.3363 18.9255
Al Co O
16 8 32
Direct
0.0000 0.0000 0.0000
0.0948 0.0948 0.0948
0.2163 0.7216 0.7216
0.2221 0.2221 0.7161
0.2221 0.7161 0.2221
0.2508 0.2508 0.2508
0.4694 0.9699 0.9699
0.4735 0.4735 0.9631
0.4735 0.9631 0.4735
0.7161 0.2221 0.2221
0.7216 0.2163 0.7216
0.7216 0.7216 0.2163
0.8446 0.8446 0.8446
0.9631 0.4735 0.4735
0.9699 0.4694 0.9699
0.9699 0.9699 0.4694
0.1886 0.1886 0.1886
0.3457 0.3457 0.3457
0.4389 0.4389 0.4389
0.5016 0.5016 0.5016
0.5952 0.5952 0.5952
0.6896 0.6896 0.6896
0.7503 0.7503 0.7503
0.9392 0.9392 0.9392
0.0131 0.0131 0.5738
0.0131 0.5738 0.0131
0.0326 0.0326 0.0326
0.0615 0.5232 0.5232
0.1186 0.6750 0.6750
0.1539 0.1539 0.1539
0.1608 0.1608 0.6441
0.1608 0.6441 0.1608
0.2642 0.2642 0.8228
0.2642 0.8228 0.2642
0.2839 0.2839 0.2839
0.3124 0.7719 0.7719
0.3625 0.9278 0.9278
0.4046 0.4046 0.4046
0.4063 0.4063 0.9030
0.4063 0.9030 0.4063
0.5232 0.0615 0.5232
0.5232 0.5232 0.0615
0.5373 0.5373 0.5373
0.5738 0.0131 0.0131
0.6441 0.1608 0.1608
0.6547 0.6547 0.6547
0.6750 0.1186 0.6750
0.6750 0.6750 0.1186
0.7719 0.3124 0.7719
0.7719 0.7719 0.3124
0.7858 0.7858 0.7858
0.8228 0.2642 0.2642
0.9030 0.4063 0.4063
0.9040 0.9040 0.9040
0.9278 0.3625 0.9278
0.9278 0.9278 0.3625
```